Record 1
Na3GdI6: optimized geometry, r²SCAN.

Unit cell a=7.8228 b=7.8375 c=7.8375 alpha=119.52 beta=99.88 gamma=99.88
Atoms (fractional coordinates):
I1 0.7581 0.9180 0.5971
I2 0.7610 0.2363 0.2396
I3 0.2390 0.7604 0.7637
I4 0.7559 0.6011 0.9203
I5 0.2419 0.4029 0.0820
I6 0.2441 0.0797 0.3989
Gd1 0.0000 0.0006 0.9994
Na1 0.5000 0.8291 0.1709
Na2 0.0000 0.6668 0.3332
Na3 0.0000 0.3328 0.6672

Properties
Space group: No. 5
Formation energy from the elements (eV per atom): -1.536
E (Ry per atom): -1.5934



Record 2
Rb2EuCl5: optimized geometry, r²SCAN.

Unit cell a=8.1394 b=8.9681 c=13.1550 alpha=90.00 beta=90.00 gamma=90.00
Atoms (fractional coordinates):
Cl1 0.3400 0.5382 0.0758
Cl2 0.6600 0.4618 0.9242
Cl3 0.4063 0.2500 0.5106
Cl4 0.1600 0.9618 0.5758
Cl5 0.0937 0.2500 0.0106
Cl6 0.3453 0.2500 0.8015
Cl7 0.9063 0.7500 0.9894
Cl8 0.3400 0.9618 0.0758
Cl9 0.8400 0.4618 0.4242
Cl10 0.8453 0.7500 0.6985
Cl11 0.6547 0.7500 0.1985
Cl12 0.3791 0.7500 0.8232
Cl13 0.6600 0.0382 0.9242
Cl14 0.1209 0.7500 0.3232
Cl15 0.1600 0.5382 0.5758
Cl16 0.8400 0.0382 0.4242
Cl17 0.1547 0.2500 0.3015
Cl18 0.5937 0.7500 0.4894
Cl19 0.8791 0.2500 0.6768
Cl20 0.6209 0.2500 0.1768
Rb1 0.0553 0.9953 0.8301
Rb2 0.9447 0.4953 0.1699
Rb3 0.4447 0.9953 0.3301
Rb4 0.9447 0.0047 0.1699
Rb5 0.4447 0.5047 0.3301
Rb6 0.5553 0.4953 0.6699
Rb7 0.0553 0.5047 0.8301
Rb8 0.5553 0.0047 0.6699
Eu1 0.0610 0.2500 0.5023
Eu2 0.4390 0.2500 0.0023
Eu3 0.9390 0.7500 0.4977
Eu4 0.5610 0.7500 0.9977

Properties
Space group: No. 62
Formation energy from the elements (eV per atom): -2.213
E (Ry per atom): -1.0552



Record 3
Mn3B4W: optimized geometry, r²SCAN.

Unit cell a=2.9977 b=4.2858 c=5.6513 alpha=89.66 beta=90.00 gamma=90.00
Atoms (fractional coordinates):
B1 0.5000 0.9030 0.5424
B2 0.0000 0.1184 0.4732
B3 0.5000 0.6026 0.0226
B4 0.0000 0.3815 0.9596
Mn1 0.5000 0.3752 0.6779
Mn2 0.5000 0.1186 0.1731
Mn3 0.0000 0.8766 0.8265
W1 0.0000 0.6241 0.3248

Properties
Space group: No. 6
Formation energy from the elements (eV per atom): -0.479
E (Ry per atom): -1.1818



Record 4
LaAsS: optimized geometry, r²SCAN.

Unit cell a=3.9773 b=4.0750 c=17.7883 alpha=90.00 beta=90.00 gamma=90.00
Atoms (fractional coordinates):
La1 0.7500 0.2326 0.8535
La2 0.7500 0.2674 0.3535
La3 0.2500 0.7326 0.6465
La4 0.2500 0.7674 0.1465
S1 0.7500 0.2644 0.1857
S2 0.2500 0.7644 0.3143
S3 0.7500 0.2356 0.6857
S4 0.2500 0.7356 0.8143
As1 0.7500 0.6966 0.9975
As2 0.2500 0.3034 0.0025
As3 0.7500 0.8034 0.4975
As4 0.2500 0.1966 0.5025

Properties
Space group: No. 62
Formation energy from the elements (eV per atom): -1.901
E (Ry per atom): -1.4256



Record 5
Li2InBi: optimized geometry, r²SCAN.

Unit cell a=4.9948 b=4.9948 c=4.9948 alpha=60.00 beta=60.00 gamma=60.00
Atoms (fractional coordinates):
Li1 0.7500 0.7500 0.7500
Li2 0.2500 0.2500 0.2500
Bi1 0.5000 0.5000 0.5000
In1 0.0000 0.0000 0.0000

Properties
Space group: No. 225
Formation energy from the elements (eV per atom): -0.407
E (Ry per atom): -1.6075



Record 6
GdC2: optimized geometry, r²SCAN.

Unit cell a=3.7228 b=3.7228 c=4.0917 alpha=117.06 beta=117.06 gamma=90.00
Atoms (fractional coordinates):
C1 0.3968 0.3968 0.7935
C2 0.6032 0.6032 0.2065
Gd1 0.0000 0.0000 0.0000

Properties
Space group: No. 139
Formation energy from the elements (eV per atom): -0.305
E (Ry per atom): -1.5730



Record 7
SmPdPb: optimized geometry, r²SCAN.

Unit cell a=7.7535 b=7.7535 c=4.0640 alpha=90.00 beta=90.00 gamma=120.00
Atoms (fractional coordinates):
Pb1 0.0000 0.2603 0.0000
Pb2 0.7397 0.7397 0.0000
Pb3 0.2603 0.0000 0.0000
Pd1 0.3333 0.6667 0.0000
Pd2 0.0000 0.0000 0.5000
Pd3 0.6667 0.3333 0.0000
Sm1 0.4060 0.4060 0.5000
Sm2 0.0000 0.5940 0.5000
Sm3 0.5940 0.0000 0.5000

Properties
Space group: No. 189
Formation energy from the elements (eV per atom): -0.820
E (Ry per atom): -2.7302



Record 8
Y4Zr3O12: optimized geometry, r²SCAN.

Unit cell a=6.3243 b=6.3693 c=6.5420 alpha=99.84 beta=98.50 gamma=99.62
Atoms (fractional coordinates):
Zr1 0.1511 0.6026 0.3291
Zr2 0.0000 0.0000 0.0000
Zr3 0.8489 0.3974 0.6709
Y1 0.3030 0.1347 0.6093
Y2 0.6970 0.8653 0.3907
Y3 0.3875 0.6996 0.8658
Y4 0.6125 0.3004 0.1342
O1 0.9766 0.3215 0.1161
O2 0.5893 0.1883 0.4347
O3 0.3139 0.0666 0.9410
O4 0.9215 0.0868 0.6952
O5 0.0234 0.6785 0.8839
O6 0.6861 0.9334 0.0590
O7 0.0785 0.9132 0.3048
O8 0.5864 0.4169 0.8207
O9 0.4136 0.5831 0.1793
O10 0.8287 0.5700 0.4258
O11 0.4107 0.8117 0.5653
O12 0.1713 0.4300 0.5742

Properties
Space group: No. 2
Relative energy among the computed polymorphs (eV/atom): 0.000
Formation energy from the elements (eV per atom): -3.878
E (Ry per atom): -1.1406



Record 9
Ca6Al43W4: optimized geometry, r²SCAN.

Unit cell a=11.0005 b=11.0005 c=17.7322 alpha=90.00 beta=90.00 gamma=120.00
Atoms (fractional coordinates):
Al1 0.2514 0.2514 0.0322
Al2 0.1558 0.7632 0.3350
Al3 0.0000 0.8413 0.8849
Al4 0.6005 0.1507 0.7500
Al5 0.0000 0.1587 0.1151
Al6 0.0000 0.1473 0.7500
Al7 0.8527 0.0000 0.2500
Al8 0.7486 0.0000 0.0322
Al9 0.1587 0.0000 0.3849
Al10 0.7632 0.6075 0.8350
Al11 0.3995 0.5502 0.7500
Al12 0.1587 0.1587 0.6151
Al13 0.6667 0.3333 0.6256
Al14 0.8413 0.8413 0.3849
Al15 0.7632 0.6075 0.6650
Al16 0.8527 0.8527 0.7500
Al17 0.3333 0.6667 0.1256
Al18 0.1587 0.1587 0.8849
Al19 0.2514 0.0000 0.9678
Al20 0.6075 0.8442 0.3350
Al21 0.7486 0.7486 0.9678
Al22 0.6075 0.7632 0.6650
Al23 0.4498 0.6005 0.2500
Al24 0.8493 0.3995 0.2500
Al25 0.1558 0.3925 0.8350
Al26 0.0000 0.8413 0.6151
Al27 0.7531 0.5061 0.5000
Al28 0.2514 0.0000 0.5322
Al29 0.2469 0.4939 0.5000
Al30 0.3925 0.1558 0.6650
Al31 0.7486 0.0000 0.4678
Al32 0.7531 0.5061 0.0000
Al33 0.2469 0.7531 0.5000
Al34 0.1558 0.7632 0.1650
Al35 0.0000 0.8527 0.2500
Al36 0.3333 0.6667 0.3744
Al37 0.7531 0.2469 0.0000
Al38 0.8442 0.6075 0.1650
Al39 0.4939 0.2469 0.0000
Al40 0.2368 0.3925 0.3350
Al41 0.6667 0.3333 0.3744
Al42 0.0000 0.1587 0.3849
Al43 0.6075 0.7632 0.8350
Al44 0.3925 0.1558 0.8350
Al45 0.1473 0.0000 0.7500
Al46 0.7632 0.1558 0.3350
Al47 0.8413 0.0000 0.8849
Al48 0.8493 0.4498 0.7500
Al49 0.0000 0.2514 0.9678
Al50 0.3333 0.6667 0.8744
Al51 0.4498 0.8493 0.7500
Al52 0.2469 0.7531 0.0000
Al53 0.5061 0.7531 0.5000
Al54 0.3925 0.2368 0.1650
Al55 0.0000 0.7486 0.4678
Al56 0.1507 0.5502 0.2500
Al57 0.8413 0.0000 0.6151
Al58 0.1558 0.3925 0.6650
Al59 0.0000 0.2514 0.5322
Al60 0.8442 0.2368 0.6650
Al61 0.1473 0.1473 0.2500
Al62 0.3995 0.8493 0.2500
Al63 0.6005 0.4498 0.2500
Al64 0.8442 0.2368 0.8350
Al65 0.1507 0.6005 0.7500
Al66 0.7632 0.1558 0.1650
Al67 0.8442 0.6075 0.3350
Al68 0.8413 0.8413 0.1151
Al69 0.5502 0.1507 0.2500
Al70 0.6667 0.3333 0.1256
Al71 0.5502 0.3995 0.7500
Al72 0.7531 0.2469 0.5000
Al73 0.2368 0.8442 0.6650
Al74 0.3925 0.2368 0.3350
Al75 0.0000 0.7486 0.0322
Al76 0.3333 0.6667 0.6256
Al77 0.2514 0.2514 0.4678
Al78 0.2368 0.8442 0.8350
Al79 0.2469 0.4939 0.0000
Al80 0.2368 0.3925 0.1650
Al81 0.5061 0.7531 0.0000
Al82 0.4939 0.2469 0.5000
Al83 0.1587 0.0000 0.1151
Al84 0.6667 0.3333 0.8744
Al85 0.7486 0.7486 0.5322
Al86 0.6075 0.8442 0.1650
Ca1 0.0000 0.4667 0.4052
Ca2 0.0000 0.4667 0.0948
Ca3 0.0000 0.5333 0.9052
Ca4 0.5333 0.5333 0.0948
Ca5 0.5333 0.0000 0.5948
Ca6 0.5333 0.0000 0.9052
Ca7 0.4667 0.4667 0.5948
Ca8 0.5333 0.5333 0.4052
Ca9 0.4667 0.0000 0.4052
Ca10 0.0000 0.5333 0.5948
Ca11 0.4667 0.4667 0.9052
Ca12 0.4667 0.0000 0.0948
W1 0.2701 0.0000 0.2500
W2 0.7299 0.7299 0.2500
W3 0.7299 0.0000 0.7500
W4 0.0000 0.2701 0.2500
W5 0.0000 0.7299 0.7500
W6 0.0000 0.0000 0.5000
W7 0.2701 0.2701 0.7500
W8 0.0000 0.0000 0.0000

Properties
Space group: No. 193
Formation energy from the elements (eV per atom): -0.214
E (Ry per atom): -0.7607



Record 10
Hf3P: optimized geometry, r²SCAN.

Unit cell a=5.2879 b=10.6593 c=10.6593 alpha=90.00 beta=90.00 gamma=90.00
Atoms (fractional coordinates):
Hf1 0.4706 0.6119 0.7775
Hf2 0.7820 0.8572 0.1653
Hf3 0.2614 0.9657 0.0688
Hf4 0.2386 0.4312 0.9657
Hf5 0.2180 0.3572 0.6653
Hf6 0.7180 0.3347 0.8572
Hf7 0.2386 0.0688 0.5343
Hf8 0.9706 0.2775 0.3881
Hf9 0.7820 0.6428 0.3347
Hf10 0.7180 0.1653 0.6428
Hf11 0.5294 0.3881 0.2225
Hf12 0.9706 0.2225 0.1119
Hf13 0.2180 0.1428 0.8347
Hf14 0.2614 0.5343 0.4312
Hf15 0.4706 0.8881 0.7225
Hf16 0.7386 0.0343 0.9312
Hf17 0.7614 0.5688 0.0343
Hf18 0.2820 0.6653 0.1428
Hf19 0.7614 0.9312 0.4657
Hf20 0.5294 0.1119 0.2775
Hf21 0.0294 0.7775 0.8881
Hf22 0.2820 0.8347 0.3572
Hf23 0.7386 0.4657 0.5688
Hf24 0.0294 0.7225 0.6119
P1 0.5364 0.7905 0.9555
P2 0.9636 0.5445 0.7905
P3 0.0364 0.0445 0.2905
P4 0.5364 0.7095 0.5445
P5 0.4636 0.2905 0.4555
P6 0.4636 0.2095 0.0445
P7 0.0364 0.4555 0.2095
P8 0.9636 0.9555 0.7095

Properties
Space group: No. 86
Formation energy from the elements (eV per atom): -0.857
E (Ry per atom): -2.7173



Record 11
YHoHg2: optimized geometry, r²SCAN.

Unit cell a=5.2172 b=5.2172 c=5.2172 alpha=60.00 beta=60.00 gamma=60.00
Atoms (fractional coordinates):
Hg1 0.7500 0.7500 0.7500
Hg2 0.2500 0.2500 0.2500
Y1 0.0000 0.0000 0.0000
Ho1 0.5000 0.5000 0.5000

Properties
Space group: No. 225
Formation energy from the elements (eV per atom): -0.584
E (Ry per atom): -2.8346



Record 12
Eu3DySb3: optimized geometry, r²SCAN.

Unit cell a=8.2800 b=8.2803 c=8.3416 alpha=70.58 beta=70.59 gamma=109.08
Atoms (fractional coordinates):
Sb1 0.6416 0.8746 0.7488
Sb2 0.1130 0.2304 0.1330
Sb3 0.2304 0.1130 0.6330
Sb4 0.8746 0.6416 0.2488
Sb5 0.7601 0.3785 0.8691
Sb6 0.3785 0.7601 0.3691
Eu1 0.1475 0.6431 0.8592
Eu2 0.0017 0.3615 0.4932
Eu3 0.4942 0.4953 0.6481
Eu4 0.6431 0.1475 0.3592
Eu5 0.3615 0.0017 0.9932
Eu6 0.4953 0.4942 0.1481
Dy1 0.0011 0.8574 0.4987
Dy2 0.8575 0.0011 0.9987

Properties
Space group: No. 9
Formation energy from the elements (eV per atom): -1.300
E (Ry per atom): -2.4544



Q: What is the formula in the eighth record?
A: Y4Zr3O12



Q: The lowest E belongs to which entry?
A: YHoHg2



Q: Which of these has the highest formation energy from the elements?
A: Ca6Al43W4